[1]
Compound: NaMgCr3O8
Source: Materials Project
Functional: PBE with a Hubbard U
Structure: relaxed

- space-group type = C2, No. 5
- total magnetic moment (μB per atom) = 0.38
- energy relative to the lowest polymorph listed for this composition (meV/atom) = 95.1
- calculated density (g/cm³) = 3.14
- calculated volume (Å³/atom) = 13.5
- formation enthalpy at 0 K (eV per atom) = -1.9430

Geometry as POSCAR:
```
NaMgCr3O8
1.0
5.134 -0.207 -0.039
1.957 4.751 -0.039
-0.089 -0.057 7.061
Na O Cr Mg
1 8 3 1
Direct
0.829 0.171 0.000
0.780 0.253 0.689
0.787 0.756 0.535
0.232 0.721 0.283
0.279 0.768 0.717
0.709 0.674 0.938
0.747 0.220 0.311
0.244 0.213 0.465
0.326 0.291 0.062
0.019 0.981 0.500
0.391 0.344 0.301
0.656 0.609 0.699
0.314 0.686 0.000
```

***

[2]
Compound: NaMgCr3O8
Source: Materials Project
Functional: PBE with a Hubbard U
Structure: relaxed

- space-group type = Cm, No. 8
- total magnetic moment (μB per atom) = 0.39
- energy relative to the lowest polymorph listed for this composition (meV/atom) = 0.0
- calculated density (g/cm³) = 3.34
- calculated volume (Å³/atom) = 12.7
- formation enthalpy at 0 K (eV per atom) = -2.0381

Geometry as POSCAR:
```
NaMgCr3O8
1.0
5.251 0.008 0.033
2.202 4.767 0.033
0.007 0.004 6.581
O Cr Mg Na
8 3 1 1
Direct
0.227 0.227 0.469
0.729 0.253 0.282
0.282 0.776 0.710
0.776 0.282 0.710
0.253 0.729 0.282
0.728 0.728 0.967
0.773 0.773 0.525
0.273 0.273 0.049
0.641 0.641 0.737
0.002 0.002 0.498
0.349 0.349 0.272
0.663 0.663 0.259
0.004 0.004 0.990
```

***

[3]
Compound: NaMg6CrO8
Source: Materials Project
Functional: PBE with a Hubbard U
Structure: relaxed

- space-group type = P4/mmm, No. 123
- total magnetic moment (μB per atom) = 0.19
- energy relative to the lowest polymorph listed for this composition (meV/atom) = 0.0
- calculated density (g/cm³) = 3.68
- calculated volume (Å³/atom) = 9.8
- formation enthalpy at 0 K (eV per atom) = -2.7534

Geometry as POSCAR:
```
NaMg6CrO8
1.0
8.643 0.000 0.000
0.000 4.265 0.000
0.000 0.000 4.265
Mg O Na Cr
6 8 1 1
Direct
0.249 0.000 0.500
0.751 0.500 0.000
0.249 0.500 0.000
0.500 0.500 0.500
0.500 0.000 0.000
0.751 0.000 0.500
0.762 0.500 0.500
0.000 0.500 0.000
0.238 0.500 0.500
0.500 0.000 0.500
0.265 0.000 0.000
0.000 0.000 0.500
0.500 0.500 0.000
0.735 0.000 0.000
0.000 0.000 0.000
0.000 0.500 0.500
```

***

[4]
Compound: Na4MgCr2O8
Source: Materials Project
Functional: PBE with a Hubbard U
Structure: relaxed

- space-group type = P-1, No. 2
- total magnetic moment (μB per atom) = 0.13
- energy relative to the lowest polymorph listed for this composition (meV/atom) = 67.2
- calculated density (g/cm³) = 2.27
- calculated volume (Å³/atom) = 17.0
- formation enthalpy at 0 K (eV per atom) = -1.9461

Geometry as POSCAR:
```
Na4MgCr2O8
1.0
8.810 -0.237 0.262
-1.063 5.953 0.343
-1.769 2.293 4.980
Na O Mg Cr
4 8 1 2
Direct
0.577 0.199 0.634
0.826 0.787 0.493
0.423 0.801 0.366
0.174 0.213 0.507
0.610 0.142 0.265
0.071 0.788 0.789
0.390 0.858 0.735
0.247 0.423 0.764
0.656 0.505 0.787
0.929 0.212 0.211
0.344 0.495 0.213
0.753 0.577 0.236
0.500 0.500 0.000
0.230 0.637 0.864
0.770 0.363 0.136
```

***

[5]
Compound: NaMgCr3O8
Source: Materials Project
Functional: PBE with a Hubbard U
Structure: relaxed

- space-group type = Cm, No. 8
- total magnetic moment (μB per atom) = 0.38
- energy relative to the lowest polymorph listed for this composition (meV/atom) = 71.1
- calculated density (g/cm³) = 2.92
- calculated volume (Å³/atom) = 14.5
- formation enthalpy at 0 K (eV per atom) = -1.9670

Geometry as POSCAR:
```
NaMgCr3O8
1.0
5.470 0.265 0.452
2.526 4.859 0.452
0.615 0.394 7.334
Cr Mg O Na
3 1 8 1
Direct
0.606 0.606 0.721
0.995 0.995 0.491
0.376 0.376 0.260
0.858 0.858 0.835
0.723 0.218 0.294
0.778 0.234 0.701
0.787 0.787 0.587
0.351 0.351 0.045
0.218 0.723 0.294
0.215 0.215 0.396
0.234 0.778 0.701
0.659 0.659 0.943
0.115 0.115 0.046
```

***

[6]
Compound: NaMg6CrO8
Source: Materials Project
Functional: PBE with a Hubbard U
Structure: relaxed

- space-group type = P4/mmm, No. 123
- total magnetic moment (μB per atom) = 0.19
- energy relative to the lowest polymorph listed for this composition (meV/atom) = 2.7
- calculated density (g/cm³) = 3.65
- calculated volume (Å³/atom) = 9.9
- formation enthalpy at 0 K (eV per atom) = -2.7507

Geometry as POSCAR:
```
NaMg6CrO8
1.0
8.627 0.000 0.000
0.000 4.286 0.000
0.000 0.000 4.286
Na O Mg Cr
1 8 6 1
Direct
0.000 0.000 0.000
0.500 0.500 0.000
0.745 0.500 0.500
0.255 0.500 0.500
0.273 0.000 0.000
0.000 0.500 0.000
0.727 0.000 0.000
0.000 0.000 0.500
0.500 0.000 0.500
0.000 0.500 0.500
0.238 0.000 0.500
0.500 0.500 0.500
0.762 0.500 0.000
0.762 0.000 0.500
0.238 0.500 0.000
0.500 0.000 0.000
```

***

[7]
Compound: Na4MgCr2O8
Source: Materials Project
Functional: PBE with a Hubbard U
Structure: relaxed

- space-group type = Pm, No. 6
- total magnetic moment (μB per atom) = 0.13
- energy relative to the lowest polymorph listed for this composition (meV/atom) = 17.5
- calculated density (g/cm³) = 2.72
- calculated volume (Å³/atom) = 14.2
- formation enthalpy at 0 K (eV per atom) = -1.9959

Geometry as POSCAR:
```
Na4MgCr2O8
1.0
6.058 0.002 0.000
-2.535 5.340 0.000
0.000 0.000 6.578
O Na Cr Mg
8 4 2 1
Direct
0.817 0.261 0.965
0.817 0.261 0.535
0.772 0.847 0.750
0.222 0.744 0.060
0.272 0.234 0.250
0.202 0.259 0.750
0.788 0.748 0.250
0.222 0.744 0.440
0.549 0.499 0.993
0.591 0.991 0.250
0.549 0.499 0.507
0.178 0.835 0.750
0.900 0.159 0.750
0.107 0.893 0.250
0.097 0.444 0.250
```

***

[8]
Compound: Na4MgCr2O8
Source: Materials Project
Functional: PBE with a Hubbard U
Structure: relaxed

- space-group type = C2/m, No. 12
- total magnetic moment (μB per atom) = 0.13
- energy relative to the lowest polymorph listed for this composition (meV/atom) = 95.0
- calculated density (g/cm³) = 2.66
- calculated volume (Å³/atom) = 14.5
- formation enthalpy at 0 K (eV per atom) = -1.9184

Geometry as POSCAR:
```
Na4MgCr2O8
1.0
-4.146 1.782 3.267
0.745 -5.513 0.298
5.072 0.732 5.605
O Na Mg Cr
8 4 1 2
Direct
0.178 0.245 0.777
0.743 0.257 0.552
0.236 0.764 0.053
0.822 0.755 0.223
0.257 0.743 0.448
0.245 0.178 0.223
0.764 0.236 0.947
0.755 0.822 0.777
0.202 0.798 0.730
0.500 0.500 0.000
0.798 0.202 0.270
0.500 0.500 0.500
0.000 0.000 0.000
0.838 0.162 0.743
0.162 0.838 0.257
```

***

[9]
Compound: Mg2Nb2CrO8
Source: Materials Project
Functional: PBE with a Hubbard U
Structure: relaxed

- space-group type = Cc, No. 9
- total magnetic moment (μB per atom) = 0.31
- calculated density (g/cm³) = 4.48
- calculated volume (Å³/atom) = 11.8
- formation enthalpy at 0 K (eV per atom) = -2.9053

Geometry as POSCAR:
```
Mg2Nb2CrO8
1.0
6.113 -0.901 8.057
7.649 4.222 5.173
-3.362 2.675 2.963
Cr O Nb Mg
2 16 4 4
Direct
0.344 0.651 0.245
0.651 0.344 0.745
0.708 0.912 0.954
0.079 0.294 0.545
0.965 0.180 0.932
0.912 0.708 0.454
0.180 0.965 0.432
0.296 0.581 0.574
0.682 0.429 0.413
0.429 0.682 0.913
0.544 0.836 0.621
0.581 0.296 0.074
0.161 0.451 0.880
0.040 0.810 0.074
0.294 0.079 0.045
0.451 0.161 0.380
0.810 0.040 0.574
0.836 0.544 0.121
0.717 0.043 0.242
0.948 0.283 0.262
0.283 0.948 0.762
0.043 0.717 0.742
0.126 0.413 0.248
0.869 0.582 0.754
0.413 0.126 0.748
0.582 0.869 0.254
```

***

[10]
Compound: Mg30NbCrO32
Source: Materials Project
Functional: PBE with a Hubbard U
Structure: relaxed

- space-group type = P4/mmm, No. 123
- total magnetic moment (μB per atom) = 0.11
- calculated density (g/cm³) = 3.66
- calculated volume (Å³/atom) = 9.8
- formation enthalpy at 0 K (eV per atom) = -2.9372

Geometry as POSCAR:
```
Mg30NbCrO32
1.0
-3.129 -0.860 -7.898
0.212 -8.494 0.841
-8.013 0.113 3.162
O Mg Nb Cr
32 30 1 1
Direct
0.000 0.263 0.000
0.500 0.749 0.000
0.250 0.250 0.751
0.250 0.250 0.249
0.251 0.000 0.500
0.000 0.737 0.000
0.000 0.749 0.500
0.000 0.000 0.738
0.749 0.500 0.000
0.750 0.750 0.249
0.750 0.250 0.249
0.749 0.000 0.500
0.250 0.750 0.249
0.500 0.251 0.000
0.248 0.500 0.500
0.000 0.000 0.262
0.500 0.752 0.500
0.251 0.500 0.000
0.000 0.500 0.749
0.752 0.500 0.500
0.500 0.500 0.265
0.750 0.750 0.751
0.500 0.000 0.749
0.000 0.500 0.251
0.000 0.251 0.500
0.263 0.000 0.000
0.750 0.250 0.751
0.737 0.000 0.000
0.500 0.000 0.251
0.250 0.750 0.751
0.500 0.248 0.500
0.500 0.500 0.735
0.750 0.250 0.500
0.251 0.500 0.748
0.000 0.000 0.500
0.251 0.500 0.252
0.500 0.251 0.748
0.748 0.000 0.748
0.252 0.000 0.252
0.000 0.748 0.252
0.750 0.750 0.500
0.250 0.250 0.500
0.250 0.750 0.500
0.000 0.500 0.000
0.251 0.251 0.000
0.252 0.000 0.748
0.500 0.749 0.252
0.500 0.000 0.000
0.000 0.252 0.252
0.749 0.749 0.000
0.748 0.000 0.252
0.749 0.500 0.748
0.251 0.749 0.000
0.500 0.251 0.252
0.500 0.500 0.500
0.749 0.500 0.252
0.000 0.252 0.748
0.000 0.500 0.500
0.749 0.251 0.000
0.500 0.000 0.500
0.500 0.749 0.748
0.000 0.748 0.748
0.000 0.000 0.000
0.500 0.500 0.000
```

***

[11]
Compound: Nd2MgCr2O8
Source: Materials Project
Functional: PBE with a Hubbard U
Structure: relaxed

- space-group type = P1, No. 1
- total magnetic moment (μB per atom) = 0.31
- energy relative to the lowest polymorph listed for this composition (meV/atom) = 0.0
- calculated density (g/cm³) = 4.88
- calculated volume (Å³/atom) = 14.3
- formation enthalpy at 0 K (eV per atom) = -2.8145

Geometry as POSCAR:
```
Nd2MgCr2O8
1.0
-4.597 1.885 -3.957
1.459 -6.023 0.010
-1.920 1.286 5.900
O Nd Mg Cr
8 2 1 2
Direct
0.729 0.345 0.029
0.356 0.788 0.558
0.737 0.825 0.934
0.184 0.645 0.891
0.272 0.210 0.070
0.860 0.761 0.486
0.611 0.178 0.418
0.222 0.242 0.592
0.108 0.859 0.208
0.853 0.135 0.748
0.284 0.020 0.770
0.643 0.397 0.282
0.379 0.606 0.744
```

***

[12]
Compound: Nd2MgCr2O8
Source: Materials Project
Functional: PBE with a Hubbard U
Structure: relaxed

- space-group type = C2, No. 5
- total magnetic moment (μB per atom) = 0.31
- energy relative to the lowest polymorph listed for this composition (meV/atom) = 4.6
- calculated density (g/cm³) = 4.79
- calculated volume (Å³/atom) = 14.5
- formation enthalpy at 0 K (eV per atom) = -2.8099

Geometry as POSCAR:
```
Nd2MgCr2O8
1.0
-0.645 5.716 -2.782
-1.502 -5.118 -3.352
-3.932 0.004 4.848
Mg O Nd Cr
1 8 2 2
Direct
0.612 0.862 0.223
0.715 0.810 0.949
0.270 0.190 0.077
0.235 0.640 0.949
0.638 0.184 0.422
0.160 0.247 0.545
0.807 0.387 0.077
0.784 0.738 0.422
0.385 0.798 0.545
0.902 0.152 0.803
0.128 0.878 0.256
0.625 0.375 0.250
0.355 0.605 0.709
```

***

[13]
Compound: MgCr2Ni2O8
Source: Materials Project
Functional: PBE with a Hubbard U
Structure: relaxed

- space-group type = P-1, No. 2
- total magnetic moment (μB per atom) = 0.13
- energy relative to the lowest polymorph listed for this composition (meV/atom) = 290.3
- calculated density (g/cm³) = 4.12
- calculated volume (Å³/atom) = 11.6
- formation enthalpy at 0 K (eV per atom) = -1.3948

Geometry as POSCAR:
```
MgCr2Ni2O8
1.0
0.079 4.735 -2.239
-3.652 -0.689 3.585
4.042 2.342 4.052
O Cr Ni Mg
8 2 2 1
Direct
0.288 0.228 0.247
0.234 0.773 0.943
0.765 0.703 0.251
0.766 0.227 0.057
0.235 0.297 0.749
0.712 0.772 0.753
0.237 0.762 0.477
0.763 0.238 0.523
0.662 0.319 0.300
0.338 0.681 0.700
0.000 0.000 0.000
0.000 0.000 0.500
0.500 0.500 0.000
```

***

[14]
Compound: MgCr2Ni2O8
Source: Materials Project
Functional: PBE with a Hubbard U
Structure: relaxed

- space-group type = Amm2, No. 38
- total magnetic moment (μB per atom) = 0.46
- energy relative to the lowest polymorph listed for this composition (meV/atom) = 195.9
- calculated density (g/cm³) = 3.67
- calculated volume (Å³/atom) = 13.0
- formation enthalpy at 0 K (eV per atom) = -1.4892

Geometry as POSCAR:
```
MgCr2Ni2O8
1.0
-1.195 3.569 -4.122
0.688 -5.413 -1.174
-6.090 -0.974 0.923
Cr O Mg Ni
2 8 1 2
Direct
0.388 0.612 0.750
0.580 0.420 0.250
0.690 0.310 0.041
0.756 0.768 0.750
0.232 0.244 0.750
0.276 0.724 0.537
0.276 0.724 0.963
0.791 0.782 0.250
0.690 0.310 0.459
0.218 0.209 0.250
0.844 0.156 0.250
0.068 0.931 0.528
0.068 0.931 0.972
```

***

[15]
Compound: MgCr2Ni2O8
Source: Materials Project
Functional: PBE with a Hubbard U
Structure: relaxed

- space-group type = Amm2, No. 38
- total magnetic moment (μB per atom) = 0.46
- energy relative to the lowest polymorph listed for this composition (meV/atom) = 0.0
- calculated density (g/cm³) = 4.06
- calculated volume (Å³/atom) = 11.8
- formation enthalpy at 0 K (eV per atom) = -1.6851

Geometry as POSCAR:
```
MgCr2Ni2O8
1.0
-4.086 3.037 0.717
1.702 -2.188 4.329
3.825 4.916 0.981
O Mg Ni Cr
8 1 2 2
Direct
0.243 0.272 0.750
0.763 0.237 0.029
0.763 0.237 0.471
0.274 0.214 0.250
0.238 0.762 0.530
0.786 0.725 0.250
0.728 0.757 0.750
0.238 0.762 0.970
0.662 0.338 0.750
0.000 0.000 0.004
0.000 0.000 0.496
0.341 0.659 0.750
0.639 0.361 0.250
```